(1)
{
  "formula": "Zn6B5Ir11",
  "functional": "r2SCAN",
  "state": "relaxed",
  "lattice": [[2.8756, 0.0000, 0.0000], [0.0000, 11.2989, 0.0000], [0.0000, 0.0000, 8.4636]],
  "species": ["Zn", "Zn", "Zn", "Zn", "Zn", "Zn", "B", "B", "B", "B", "B", "Ir", "Ir", "Ir", "Ir", "Ir", "Ir", "Ir", "Ir", "Ir", "Ir", "Ir"],
  "frac_coords": [[0.0000, 0.0000, 0.0000], [0.0000, 0.0000, 0.2980], [0.0000, 0.0000, 0.6417], [0.0000, 0.2999, 0.6552], [0.0000, 0.5000, 0.1263], [0.0000, 0.7001, 0.6552], [0.0000, 0.2335, 0.3252], [0.0000, 0.2433, 0.9570], [0.0000, 0.5000, 0.4613], [0.0000, 0.7567, 0.9570], [0.0000, 0.7665, 0.3252], [0.5000, 0.1417, 0.8181], [0.5000, 0.1501, 0.4748], [0.5000, 0.1814, 0.1421], [0.5000, 0.3794, 0.3443], [0.5000, 0.3805, 0.9155], [0.5000, 0.5000, 0.6405], [0.5000, 0.6195, 0.9155], [0.5000, 0.6206, 0.3443], [0.5000, 0.8186, 0.1421], [0.5000, 0.8499, 0.4748], [0.5000, 0.8583, 0.8181]],
  "m_tot_mub_per_fu": 0.000,
  "density_g_cm3": 15.46,
  "space_group": "Pmm2 (25)",
  "energy_ha_per_atom": -1.12419,
  "formation_enthalpy_0k_mev_per_atom": -311.2
}

---

(2)
{
  "formula": "CeGe2Au2",
  "functional": "r2SCAN",
  "state": "relaxed",
  "lattice": [[-2.2239, 2.2239, 5.1978], [2.2239, -2.2239, 5.1978], [2.2239, 2.2239, -5.1978]],
  "species": ["Ce", "Ge", "Ge", "Au", "Au"],
  "frac_coords": [[0.0000, 0.0000, 0.0000], [0.3825, 0.3825, 0.0000], [0.6175, 0.6175, 0.0000], [0.2500, 0.7500, 0.5000], [0.7500, 0.2500, 0.5000]],
  "m_tot_mub_per_fu": 1.059,
  "density_g_cm3": 10.97,
  "space_group": "I4/mmm (139)",
  "energy_ha_per_atom": -1.19514,
  "formation_enthalpy_0k_mev_per_atom": -570.5
}

---

(3)
{
  "formula": "Al2IrRu",
  "functional": "r2SCAN",
  "state": "relaxed",
  "lattice": [[0.0000, 2.9842, 2.9842], [2.9842, 0.0000, 2.9842], [2.9842, 2.9842, 0.0000]],
  "species": ["Al", "Al", "Ir", "Ru"],
  "frac_coords": [[0.2500, 0.2500, 0.2500], [0.7500, 0.7500, 0.7500], [0.0000, 0.0000, 0.0000], [0.5000, 0.5000, 0.5000]],
  "m_tot_mub_per_fu": 0.000,
  "density_g_cm3": 10.85,
  "space_group": "Fm-3m (225)",
  "energy_ha_per_atom": -0.87450,
  "formation_enthalpy_0k_mev_per_atom": -984.3
}

---

(4)
{
  "formula": "YbGa4",
  "functional": "r2SCAN",
  "state": "relaxed",
  "lattice": [[3.1869, -2.7555, 0.0000], [3.1869, 2.7555, 0.0000], [-1.6414, 0.0000, 5.5058]],
  "species": ["Yb", "Ga", "Ga", "Ga", "Ga"],
  "frac_coords": [[0.0000, 0.0000, 0.0000], [0.2306, 0.7694, 0.5000], [0.3736, 0.3736, 0.7885], [0.6264, 0.6264, 0.2115], [0.7694, 0.2306, 0.5000]],
  "m_tot_mub_per_fu": 0.000,
  "density_g_cm3": 7.76,
  "space_group": "C2/m (12)",
  "energy_ha_per_atom": -0.61816,
  "formation_enthalpy_0k_mev_per_atom": -361.0
}

---

(5)
{
  "formula": "AcSnAu2",
  "functional": "r2SCAN",
  "state": "relaxed",
  "lattice": [[0.0000, 3.6954, 3.6954], [3.6954, 0.0000, 3.6954], [3.6954, 3.6954, 0.0000]],
  "species": ["Ac", "Sn", "Au", "Au"],
  "frac_coords": [[0.0000, 0.0000, 0.0000], [0.5000, 0.5000, 0.5000], [0.2500, 0.2500, 0.2500], [0.7500, 0.7500, 0.7500]],
  "m_tot_mub_per_fu": 0.000,
  "density_g_cm3": 12.17,
  "space_group": "Fm-3m (225)",
  "energy_ha_per_atom": -1.81316,
  "formation_enthalpy_0k_mev_per_atom": -700.2
}

---

(6)
{
  "formula": "NbPt",
  "functional": "r2SCAN",
  "state": "relaxed",
  "lattice": [[4.6533, 0.0000, 0.0000], [0.0000, 2.7961, 0.0000], [0.0000, 0.0000, 5.0436]],
  "species": ["Nb", "Nb", "Pt", "Pt"],
  "frac_coords": [[0.2500, 0.0000, 0.1794], [0.7500, 0.0000, 0.8206], [0.2500, 0.5000, 0.6740], [0.7500, 0.5000, 0.3260]],
  "m_tot_mub_per_fu": 0.000,
  "density_g_cm3": 14.57,
  "space_group": "Pmma (51)",
  "energy_ha_per_atom": -1.42496,
  "formation_enthalpy_0k_mev_per_atom": -664.2
}